Entry 1:
! UVSe3 meta-GGA r2SCAN relaxed; values from VASP
&SYSTEM
  ibrav = 0, nat = 20, ntyp = 3
/
ATOMIC_SPECIES
V 50.94 V.upf
Se 78.96 Se.upf
U 238.03 U.upf
ATOMIC_POSITIONS crystal
V 0.500 0.500 0.000
Se 0.648 0.540 0.250
Se 0.835 0.320 0.563
V 0.000 0.000 0.500
U 0.946 0.619 0.750
Se 0.665 0.820 0.937
Se 0.148 0.960 0.750
Se 0.835 0.320 0.937
U 0.054 0.381 0.250
Se 0.165 0.680 0.437
Se 0.352 0.460 0.750
V 0.500 0.500 0.500
Se 0.852 0.040 0.250
Se 0.165 0.680 0.063
Se 0.335 0.180 0.063
Se 0.335 0.180 0.437
V 0.000 0.000 0.000
U 0.554 0.119 0.750
U 0.446 0.881 0.250
Se 0.665 0.820 0.563
CELL_PARAMETERS angstrom
-5.283 -2.632 -2.747
0.237 -5.497 4.810
-5.572 4.970 5.954
! - ρ (Mg/m³) = 7.687
! - space group = Pnma
! - E_tot (eV/atom) = -28.791

***

Entry 2:
! V5Se4 meta-GGA r2SCAN relaxed; values from VASP
&SYSTEM
  ibrav = 0, nat = 9, ntyp = 2
/
ATOMIC_SPECIES
Se 78.96 Se.upf
V 50.94 V.upf
ATOMIC_POSITIONS crystal
Se 0.277 0.659 0.787
V 0.308 0.074 0.309
Se 0.936 0.787 0.341
V 0.383 0.309 0.926
Se 0.064 0.213 0.659
V 0.000 0.000 0.000
V 0.617 0.691 0.074
Se 0.723 0.341 0.213
V 0.692 0.926 0.691
CELL_PARAMETERS angstrom
-0.178 -1.988 2.673
4.468 -4.919 -1.280
4.615 2.517 4.261
! - ρ (Mg/m³) = 6.602
! - space group = I4/m
! - E_tot (eV/atom) = -14.911

***

Entry 3:
! V2Se9 meta-GGA r2SCAN relaxed; values from VASP
&SYSTEM
  ibrav = 0, nat = 22, ntyp = 2
/
ATOMIC_SPECIES
Se 78.96 Se.upf
V 50.94 V.upf
ATOMIC_POSITIONS crystal
Se 0.670 0.328 0.006
Se 0.467 0.704 0.401
V 0.916 0.864 0.400
Se 0.385 0.096 0.704
Se 0.250 0.410 0.590
Se 0.033 0.599 0.296
Se 0.330 0.672 0.994
V 0.084 0.136 0.600
Se 0.056 0.856 0.676
V 0.584 0.600 0.136
Se 0.967 0.401 0.704
Se 0.533 0.296 0.599
Se 0.885 0.704 0.096
V 0.416 0.400 0.864
Se 0.556 0.676 0.856
Se 0.444 0.324 0.144
Se 0.615 0.904 0.296
Se 0.115 0.296 0.904
Se 0.944 0.144 0.324
Se 0.170 0.006 0.328
Se 0.830 0.994 0.672
Se 0.750 0.590 0.410
CELL_PARAMETERS angstrom
-8.274 -0.670 -0.516
1.545 -6.438 -5.176
0.544 -3.807 7.472
! - ρ (Mg/m³) = 4.718
! - space group = C2/c
! - E_tot (eV/atom) = -14.730

***

Energy of formation from the pure elements values (in kJ/mol of formula units) by entry order: -675; -627; -487.